# S

S after structural relaxation (r²SCAN, the Materials Project).

Cell and atoms, written as extended XYZ:
```
28
Lattice="-3.8799 2.8815 -2.8459 -4.8918 -8.5786 1.4575 -2.3672 5.2909 13.6587" Properties=species:S:1:pos:R:3 pbc="T T T"
S -6.5033 0.4090 12.5929
S -7.2860 -4.6963 8.5869
S -4.6355 -0.8152 -0.3225
S -5.6667 -1.0464 13.7791
S -5.4202 3.0267 3.3271
S -6.3793 -4.6121 2.8200
S -9.6592 0.0921 9.8529
S -4.2194 5.5520 10.8987
S -4.1538 4.8393 7.5998
S -4.6873 -0.0030 4.3135
S -3.8528 4.2901 3.6835
S -4.1012 0.3234 10.2465
S -7.0377 -0.7295 2.0239
S -6.2482 -1.2521 3.8455
S -5.4721 0.6402 -1.5087
S -6.1988 -1.8432 0.5192
S -6.4516 -0.4032 7.9569
S -6.9194 -5.9582 1.3717
S -5.5190 1.7617 4.9476
S -5.7186 -3.4329 8.9433
S -4.7595 4.2059 9.4504
S -5.6198 -2.1679 7.3228
S -4.9401 1.4370 11.7512
S -4.8906 0.8460 8.4249
S -8.5666 -5.2281 0.3825
S -6.9850 -5.2455 4.6706
S -2.5722 4.8219 11.8879
S -1.4796 -0.4983 2.4175
```

Calculated values
DFT formation energy (meV per atom): 19
ΔE to the lowest computed polymorph (meV/atom): 19
DFT total energy (eV per cell): -224.434